The following is a PBE calculation of crystalline LaMg6Mn at its relaxed geometry, from Materials Project.

Lattice parameters (Å, degrees): 5.1161 6.6303 11.5160 90.00 90.00 90.00
With the nearest neighbours (Å) after each atom.
Sites, in units of the cell vectors:
Mn (0.0000, 0.0000, 0.8361)  10 Mg 3.16-3.44, 2 La 3.16
La (0.5000, 0.5000, 0.1749)  2 Mn 3.16, 10 Mg 3.23-3.42
Mn (0.0000, 0.5000, 0.3361)  10 Mg 3.16-3.44, 2 La 3.16
Mg (0.0000, 0.7610, 0.0775)  8 Mg 3.14-3.46, 2 Mn 3.20-3.44, 2 La 3.29
Mg (0.0000, 0.5000, 0.8333)  10 Mg 3.23-3.35, 2 Mn 3.32
Mg (0.5000, 0.2612, 0.4191)  8 Mg 3.14-3.46, 2 Mn 3.16, 2 La 3.23-3.42
Mg (0.5000, 0.5000, 0.6625)  10 Mg 3.16-3.42, 2 La 3.32
Mg (0.0000, 0.0000, 0.3333)  10 Mg 3.23-3.35, 2 Mn 3.32
Mg (0.5000, 0.2388, 0.9191)  8 Mg 3.14-3.46, 2 Mn 3.16, 2 La 3.23-3.42
Mg (0.5000, 0.7388, 0.4191)  8 Mg 3.14-3.46, 2 Mn 3.16, 2 La 3.23-3.42
Mg (0.5000, 0.0000, 0.1625)  10 Mg 3.16-3.42, 2 La 3.32
Mg (0.0000, 0.2390, 0.0775)  8 Mg 3.14-3.46, 2 Mn 3.20-3.44, 2 La 3.29
La (0.5000, 0.0000, 0.6749)  2 Mn 3.16, 10 Mg 3.23-3.42
Mg (0.0000, 0.7390, 0.5775)  8 Mg 3.14-3.46, 2 Mn 3.20-3.44, 2 La 3.29
Mg (0.0000, 0.2610, 0.5775)  8 Mg 3.14-3.46, 2 Mn 3.20-3.44, 2 La 3.29
Mg (0.5000, 0.7612, 0.9191)  8 Mg 3.14-3.46, 2 Mn 3.16, 2 La 3.23-3.42

Properties
electronic total energy	-2.8261	eV per atom
spin magnetization	0.4797	μB/atom
offset from the most stable computed form	0	meV/atom
energy relative to the elements	0.136	eV per atom